# BaSrEuSbO6 | the Materials Project database | GGA-PBE | optimized geometry
# * formation energy from the elements: -28.47 eV per formula unit
data_BaSrEuSbO6
_space_group_name_H-M_alt 'P 1'
_space_group_IT_number 1
_cell_length_a 8.528
_cell_length_b 8.532
_cell_length_c 8.529
_cell_angle_alpha 90.00
_cell_angle_beta 90.00
_cell_angle_gamma 90.00
loop_
_space_group_symop_operation_xyz
'x,y,z'
loop_
_atom_site_label
_atom_site_type_symbol
_atom_site_fract_x
_atom_site_fract_y
_atom_site_fract_z
O1 O 0.782 0.514 0.282
O2 O 0.984 0.776 0.270
O3 O 0.782 0.486 0.718
O4 O 0.984 0.224 0.730
O5 O 0.280 0.020 0.216
O6 O 0.482 0.285 0.217
O7 O 0.726 0.228 0.519
Eu1 Eu 0.250 0.252 0.752
O8 O 0.218 0.287 0.015
O9 O 0.720 0.980 0.216
Sr1 Sr 0.500 0.500 0.000
O10 O 0.218 0.486 0.282
Sb1 Sb 0.751 0.254 0.753
O11 O 0.726 0.772 0.481
O12 O 0.782 0.713 0.015
O13 O 0.482 0.715 0.783
O14 O 0.782 0.287 0.985
O15 O 0.218 0.713 0.985
O16 O 0.016 0.224 0.270
O17 O 0.518 0.285 0.783
O18 O 0.518 0.715 0.217
Eu2 Eu 0.750 0.252 0.248
Sr2 Sr 0.000 0.500 0.500
O19 O 0.274 0.228 0.481
Sb2 Sb 0.751 0.746 0.247
Ba1 Ba 0.000 0.000 0.000
Eu3 Eu 0.250 0.748 0.248
Sr3 Sr 0.500 0.000 0.000
Sb3 Sb 0.249 0.746 0.753
O20 O 0.016 0.776 0.730
O21 O 0.274 0.772 0.519
Ba2 Ba 0.000 0.000 0.500
Ba3 Ba 0.500 0.000 0.500
O22 O 0.720 0.020 0.784
Sr4 Sr 0.000 0.500 0.000
Ba4 Ba 0.500 0.500 0.500
Eu4 Eu 0.750 0.748 0.752
Sb4 Sb 0.249 0.254 0.247
O23 O 0.280 0.980 0.784
O24 O 0.218 0.514 0.718